# 1
Na10Mg3Ge5P12O48, relaxed, DFT GGA-PBE; space-group type = P1, No. 1; electronic total energy = -0.48122 Ry/atom
1.0
8.645 0.000 0.000
-0.006 14.953 0.000
-0.013 -0.016 21.725
Na Mg Ge P O
30 9 15 36 144
Direct
0.000 0.000 0.000 Na
0.001 0.332 0.669 Na
0.012 0.634 0.000 Na
0.012 0.968 0.669 Na
0.134 0.132 0.500 Na
0.136 0.467 0.169 Na
0.147 0.832 0.168 Na
0.189 0.145 0.169 Na
0.315 0.649 0.418 Na
0.323 0.315 0.755 Na
0.324 0.315 0.254 Na
0.326 0.649 0.921 Na
0.329 0.978 0.582 Na
0.333 0.981 0.083 Na
0.460 0.145 0.669 Na
0.501 0.832 0.669 Na
0.512 0.467 0.669 Na
0.634 0.632 0.500 Na
0.636 0.968 0.169 Na
0.647 0.665 0.837 Na
0.648 0.332 0.169 Na
0.688 0.645 0.168 Na
0.688 0.979 0.837 Na
0.815 0.149 0.418 Na
0.818 0.478 0.083 Na
0.822 0.157 0.920 Na
0.824 0.815 0.254 Na
0.829 0.478 0.582 Na
0.835 0.815 0.756 Na
0.960 0.644 0.669 Na
0.319 0.649 0.560 Mg
0.324 0.981 0.236 Mg
0.324 0.984 0.734 Mg
0.329 0.647 0.062 Mg
0.819 0.149 0.560 Mg
0.820 0.152 0.061 Mg
0.824 0.478 0.735 Mg
0.824 0.481 0.236 Mg
0.829 0.815 0.897 Mg
0.316 0.647 0.771 Ge
0.323 0.315 0.898 Ge
0.325 0.315 0.396 Ge
0.325 0.316 0.599 Ge
0.325 0.648 0.272 Ge
0.326 0.315 0.099 Ge
0.327 0.979 0.432 Ge
0.328 0.981 0.935 Ge
0.821 0.479 0.935 Ge
0.822 0.815 0.098 Ge
0.824 0.149 0.272 Ge
0.825 0.815 0.396 Ge
0.825 0.816 0.599 Ge
0.827 0.479 0.433 Ge
0.828 0.152 0.772 Ge
0.034 0.984 0.832 P
0.035 0.649 0.165 P
0.036 0.319 0.498 P
0.114 0.150 0.664 P
0.119 0.482 0.333 P
0.119 0.816 0.999 P
0.176 0.129 0.334 P
0.177 0.457 0.998 P
0.177 0.834 0.333 P
0.178 0.792 0.665 P
0.181 0.503 0.665 P
0.184 0.171 0.998 P
0.464 0.834 0.832 P
0.467 0.503 0.166 P
0.468 0.170 0.497 P
0.469 0.131 0.833 P
0.470 0.792 0.166 P
0.472 0.457 0.498 P
0.529 0.479 0.833 P
0.536 0.149 0.166 P
0.536 0.819 0.498 P
0.611 0.317 0.997 P
0.614 0.649 0.665 P
0.619 0.982 0.333 P
0.672 0.961 0.998 P
0.677 0.334 0.333 P
0.677 0.629 0.334 P
0.677 0.667 0.997 P
0.679 0.292 0.665 P
0.682 0.003 0.666 P
0.967 0.003 0.165 P
0.968 0.670 0.497 P
0.970 0.292 0.166 P
0.972 0.957 0.497 P
0.973 0.335 0.834 P
0.974 0.626 0.832 P
0.007 0.488 0.673 O
0.011 0.158 0.003 O
0.011 0.171 0.722 O
0.014 0.500 0.391 O
0.015 0.801 0.945 O
0.017 0.838 0.060 O
0.019 0.133 0.607 O
0.030 0.465 0.275 O
0.126 0.971 0.774 O
0.128 0.632 0.108 O
0.133 0.336 0.559 O
0.134 0.001 0.892 O
0.139 0.661 0.503 O
0.139 0.670 0.223 O
0.141 0.990 0.173 O
0.146 0.300 0.444 O
0.150 0.324 0.843 O
0.153 0.966 0.492 O
0.154 0.300 0.161 O
0.155 0.632 0.828 O
0.194 0.730 0.724 O
0.196 0.887 0.275 O
0.199 0.399 0.059 O
0.202 0.069 0.393 O
0.205 0.561 0.610 O
0.214 0.231 0.942 O
0.215 0.906 0.994 O
0.218 0.238 0.660 O
0.219 0.735 0.007 O
0.222 0.070 0.672 O
0.222 0.568 0.329 O
0.224 0.398 0.343 O
0.243 0.550 0.003 O
0.243 0.887 0.673 O
0.247 0.092 0.276 O
0.250 0.224 0.343 O
0.252 0.412 0.942 O
0.253 0.739 0.329 O
0.255 0.752 0.610 O
0.257 0.877 0.391 O
0.260 0.210 0.059 O
0.262 0.076 0.992 O
0.262 0.407 0.661 O
0.266 0.542 0.724 O
0.382 0.077 0.492 O
0.383 0.543 0.225 O
0.384 0.209 0.558 O
0.387 0.407 0.161 O
0.387 0.878 0.890 O
0.389 0.738 0.827 O
0.394 0.752 0.111 O
0.395 0.411 0.443 O
0.397 0.224 0.843 O
0.403 0.095 0.774 O
0.405 0.550 0.503 O
0.405 0.887 0.174 O
0.423 0.397 0.843 O
0.426 0.070 0.174 O
0.431 0.237 0.161 O
0.431 0.568 0.828 O
0.433 0.231 0.442 O
0.437 0.905 0.492 O
0.439 0.735 0.503 O
0.443 0.560 0.111 O
0.443 0.890 0.774 O
0.450 0.065 0.889 O
0.450 0.400 0.559 O
0.454 0.730 0.225 O
0.491 0.967 0.993 O
0.495 0.300 0.660 O
0.496 0.638 0.329 O
0.498 0.324 0.343 O
0.504 0.303 0.942 O
0.507 0.655 0.005 O
0.508 0.989 0.673 O
0.513 0.669 0.725 O
0.514 0.000 0.391 O
0.514 0.336 0.059 O
0.518 0.633 0.608 O
0.530 0.965 0.275 O
0.617 0.464 0.774 O
0.633 0.836 0.559 O
0.634 0.132 0.111 O
0.636 0.172 0.225 O
0.636 0.502 0.889 O
0.639 0.161 0.503 O
0.639 0.822 0.839 O
0.641 0.489 0.174 O
0.646 0.800 0.444 O
0.652 0.136 0.829 O
0.653 0.466 0.492 O
0.654 0.800 0.161 O
0.696 0.230 0.724 O
0.696 0.387 0.275 O
0.696 0.901 0.059 O
0.702 0.569 0.393 O
0.707 0.062 0.611 O
0.709 0.405 0.992 O
0.711 0.721 0.941 O
0.712 0.236 0.002 O
0.717 0.737 0.661 O
0.721 0.569 0.673 O
0.723 0.067 0.329 O
0.724 0.897 0.343 O
0.743 0.386 0.673 O
0.745 0.918 0.942 O
0.747 0.051 0.006 O
0.748 0.592 0.276 O
0.750 0.724 0.343 O
0.754 0.239 0.329 O
0.755 0.252 0.610 O
0.756 0.378 0.391 O
0.762 0.042 0.726 O
0.762 0.907 0.661 O
0.763 0.708 0.057 O
0.766 0.573 0.994 O
0.882 0.577 0.492 O
0.883 0.045 0.223 O
0.883 0.709 0.558 O
0.887 0.907 0.161 O
0.891 0.378 0.891 O
0.894 0.241 0.829 O
0.895 0.252 0.110 O
0.895 0.911 0.443 O
0.901 0.586 0.775 O
0.902 0.718 0.839 O
0.904 0.050 0.503 O
0.905 0.386 0.174 O
0.923 0.905 0.839 O
0.927 0.071 0.829 O
0.927 0.569 0.174 O
0.931 0.737 0.161 O
0.932 0.731 0.442 O
0.937 0.405 0.492 O
0.939 0.236 0.503 O
0.945 0.059 0.108 O
0.947 0.566 0.892 O
0.950 0.900 0.559 O
0.953 0.230 0.225 O
0.954 0.386 0.774 O
0.994 0.800 0.660 O
0.996 0.138 0.329 O
0.996 0.465 0.993 O
0.998 0.824 0.343 O

***

# 2
SiO2, relaxed, DFT GGA-PBE; space-group type = Pbcn, No. 60; electronic total energy = -0.57861 Ry/atom
1.0
8.762 0.000 0.000
0.000 10.587 0.000
0.000 0.000 4.919
Si O
12 24
Direct
0.000 0.218 0.250 Si
0.000 0.782 0.750 Si
0.213 0.416 0.558 Si
0.213 0.584 0.058 Si
0.287 0.084 0.058 Si
0.287 0.916 0.558 Si
0.500 0.282 0.750 Si
0.500 0.718 0.250 Si
0.713 0.084 0.442 Si
0.713 0.916 0.942 Si
0.787 0.416 0.942 Si
0.787 0.584 0.442 Si
0.104 0.301 0.457 O
0.104 0.699 0.957 O
0.109 0.131 0.055 O
0.109 0.869 0.555 O
0.179 0.460 0.870 O
0.179 0.540 0.370 O
0.321 0.040 0.370 O
0.321 0.960 0.870 O
0.391 0.369 0.555 O
0.391 0.631 0.055 O
0.396 0.199 0.957 O
0.396 0.801 0.457 O
0.604 0.199 0.543 O
0.604 0.801 0.043 O
0.609 0.369 0.945 O
0.609 0.631 0.445 O
0.679 0.040 0.130 O
0.679 0.960 0.630 O
0.821 0.460 0.630 O
0.821 0.540 0.130 O
0.891 0.131 0.445 O
0.891 0.869 0.945 O
0.896 0.301 0.043 O
0.896 0.699 0.543 O

***

# 3
ThB2Pt2C, relaxed, DFT GGA-PBE; space-group type = I4/mmm, No. 139; electronic total energy = -0.56310 Ry/atom
1.0
3.847 0.000 0.000
0.000 3.847 0.000
0.000 0.000 10.922
Th B Pt C
2 4 4 2
Direct
0.000 0.000 0.000 Th
0.500 0.500 0.500 Th
0.000 0.000 0.363 B
0.000 0.000 0.637 B
0.500 0.500 0.137 B
0.500 0.500 0.863 B
0.000 0.500 0.250 Pt
0.000 0.500 0.750 Pt
0.500 0.000 0.250 Pt
0.500 0.000 0.750 Pt
0.000 0.000 0.500 C
0.500 0.500 0.000 C

***

# 4
MgCd, relaxed, DFT GGA-PBE; space-group type = R-3m, No. 166; electronic total energy = -0.09693 Ry/atom
1.0
3.335 0.000 0.000
-1.667 2.888 0.000
0.000 0.000 14.103
Mg Cd
3 3
Direct
0.000 0.000 0.000 Mg
0.333 0.667 0.667 Mg
0.667 0.333 0.333 Mg
0.000 0.000 0.500 Cd
0.333 0.667 0.167 Cd
0.667 0.333 0.833 Cd

***

# 5
U3Al12Co4, relaxed, DFT GGA-PBE; space-group type = P6_3/mmc, No. 194; electronic total energy = -0.43889 Ry/atom
1.0
8.571 0.000 0.000
-4.286 7.423 0.000
0.000 0.000 9.323
U Al Co
6 24 8
Direct
0.207 0.414 0.250 U
0.207 0.793 0.250 U
0.414 0.207 0.750 U
0.586 0.793 0.250 U
0.793 0.207 0.750 U
0.793 0.586 0.750 U
0.000 0.000 0.250 Al
0.000 0.000 0.750 Al
0.120 0.560 0.750 Al
0.159 0.319 0.578 Al
0.159 0.319 0.922 Al
0.159 0.841 0.578 Al
0.159 0.841 0.922 Al
0.319 0.159 0.078 Al
0.319 0.159 0.422 Al
0.333 0.667 0.004 Al
0.333 0.667 0.496 Al
0.440 0.560 0.750 Al
0.440 0.880 0.750 Al
0.560 0.120 0.250 Al
0.560 0.440 0.250 Al
0.667 0.333 0.504 Al
0.667 0.333 0.996 Al
0.681 0.841 0.578 Al
0.681 0.841 0.922 Al
0.841 0.159 0.078 Al
0.841 0.159 0.422 Al
0.841 0.681 0.078 Al
0.841 0.681 0.422 Al
0.880 0.440 0.250 Al
0.000 0.000 0.000 Co
0.000 0.000 0.500 Co
0.000 0.500 0.000 Co
0.000 0.500 0.500 Co
0.500 0.000 0.000 Co
0.500 0.000 0.500 Co
0.500 0.500 0.000 Co
0.500 0.500 0.500 Co

***

# 6
CuTe, relaxed, DFT GGA-PBE; space-group type = Pmmn, No. 59; electronic total energy = -0.21143 Ry/atom
1.0
3.634 0.000 0.000
0.000 14.474 0.000
0.000 0.000 6.981
Cu Te
2 2
Direct
0.250 0.250 0.006 Cu
0.750 0.750 0.994 Cu
0.250 0.750 0.767 Te
0.750 0.250 0.233 Te

***

# 7
Cs2TlAsCl6, relaxed, DFT GGA-PBE; space-group type = Fm-3m, No. 225; electronic total energy = -0.24209 Ry/atom
1.0
0.000 5.574 5.574
5.574 0.000 5.574
5.574 5.574 0.000
Cs Tl As Cl
2 1 1 6
Direct
0.250 0.250 0.250 Cs
0.750 0.750 0.750 Cs
0.000 0.000 0.000 Tl
0.500 0.500 0.500 As
0.274 0.274 0.726 Cl
0.274 0.726 0.274 Cl
0.274 0.726 0.726 Cl
0.726 0.274 0.274 Cl
0.726 0.274 0.726 Cl
0.726 0.726 0.274 Cl

***

# 8
PmI3, relaxed, DFT GGA-PBE; space-group type = P6_3/mmc, No. 194; electronic total energy = -0.27450 Ry/atom
1.0
11.500 0.000 0.000
-5.750 9.959 0.000
0.000 0.000 4.103
Pm I
2 6
Direct
0.333 0.667 0.250 Pm
0.667 0.333 0.750 Pm
0.214 0.429 0.750 I
0.214 0.786 0.750 I
0.429 0.214 0.250 I
0.571 0.786 0.750 I
0.786 0.214 0.250 I
0.786 0.571 0.250 I

***

- What is the formula in the third record?
  ThB2Pt2C